Version A
This record from the Materials Project describes a relaxed structure of Li6V3P8O29. The functional is GGA+U.

Geometry as extended XYZ:
```
92
Lattice="7.990 -5.192 -2.280 -8.880 -4.134 -0.731 -0.862 4.459 -13.227" Properties=species:S:1:pos:R:3 pbc="T T T"
Li -6.468 -2.963 -7.079
Li -2.526 0.061 -6.340
Li -1.939 1.579 -13.170
Li -3.506 -2.995 -14.574
Li -1.822 -4.688 -7.960
Li 1.733 -1.768 -1.582
Li 0.061 -6.515 -2.986
Li 1.968 -3.147 -6.962
Li 1.614 -0.965 -13.517
Li 4.843 -1.870 -9.285
Li -9.687 0.253 -13.806
Li -8.970 -1.918 -7.581
V -1.021 -0.749 -11.148
V -0.727 -4.121 -5.032
V -5.629 -5.265 -4.956
V -5.025 -3.714 -11.924
V -5.630 0.994 -10.376
V -4.074 -0.701 -3.584
P -6.367 -2.908 -2.798
P -6.899 -1.974 -9.919
P -2.650 1.194 -9.080
P -3.953 -0.612 -12.767
P -3.589 -2.835 -6.146
P -1.105 -1.788 -2.818
P 0.220 -1.002 -5.367
P -2.744 -6.650 -4.307
P 0.934 1.738 -11.952
P -1.959 -3.838 -10.816
P -0.615 -3.123 -13.387
P 1.859 -2.061 -10.127
P 2.229 -4.236 -3.468
P 0.871 -6.090 -7.157
P 5.059 -2.882 -6.336
P 4.612 -1.890 -13.355
O -7.328 -1.432 -6.260
O -6.475 -0.561 -9.573
O 0.888 2.926 -12.872
O -6.272 -4.372 -3.331
O -4.997 -2.221 -2.847
O -5.053 -0.016 -11.820
O -4.038 0.607 -9.345
O -2.569 3.231 -12.337
O -2.482 -1.117 -2.646
O -4.876 -3.593 -5.693
O -5.680 -2.778 -10.484
O -3.351 -1.619 -5.185
O -3.965 -0.078 -14.160
O -3.642 -2.426 -7.582
O -2.591 -0.210 -12.068
O -4.026 -5.760 -4.185
O -4.076 -2.169 -12.723
O -1.543 0.266 -9.562
O -0.279 -0.856 -3.840
O -0.591 -0.087 -6.220
O -0.311 -1.821 -1.536
O -1.275 -3.166 -3.469
O -2.343 -3.822 -5.937
O -0.362 0.916 -12.075
O -1.879 -2.344 -10.482
O -3.441 -4.297 -10.953
O 0.958 2.249 -10.423
O -7.539 -2.679 -8.759
O 5.748 -2.081 -7.417
O 1.718 -0.570 -5.313
O 0.204 -2.513 -5.751
O -1.473 -5.788 -4.206
O 0.638 -1.100 -10.344
O -0.383 -1.711 -12.790
O -1.518 -3.095 -14.611
O -1.278 -4.753 -9.836
O -1.342 -4.056 -12.290
O -0.218 -5.062 -6.760
O 2.249 -2.659 -3.445
O 2.134 0.774 -12.165
O 0.870 -4.689 -4.158
O 2.245 -4.756 -2.056
O 1.958 -2.566 -8.718
O 1.698 -3.179 -11.194
O 3.743 -2.241 -5.833
O 3.179 -1.284 -10.479
O 0.739 -3.747 -13.697
O 0.698 -7.330 -6.155
O 0.875 -8.067 -3.781
O 2.254 -5.426 -6.859
O 3.360 -4.734 -4.397
O 3.182 -2.478 -13.393
O 4.479 -0.411 -12.865
O -2.711 -7.771 -3.322
O 6.081 -3.054 -5.097
O 4.748 -4.323 -6.811
O -2.447 1.598 -7.629
O 5.456 -2.616 -12.198
```

=====

Version B
This record from the Materials Project describes a relaxed structure of Li6V3P8O29. The functional is GGA+U.

Geometry as extended XYZ:
```
92
Lattice="-9.809 -0.037 -0.032 -4.872 8.493 -0.015 -0.044 0.000 -13.944" Properties=species:S:1:pos:R:3 pbc="T T T"
Li -12.719 6.532 -0.900
Li -11.937 7.641 -7.817
Li -10.487 2.838 -7.815
Li -9.151 2.704 -0.897
Li -7.539 7.672 -0.853
Li -7.042 6.522 -7.805
Li -7.223 0.684 -13.133
Li -4.967 2.784 -8.539
Li -4.930 2.837 -1.611
Li -4.221 5.738 -6.105
Li -1.988 1.886 -13.114
Li -9.898 0.289 -6.879
V -7.658 3.686 -3.549
V -7.051 4.798 -10.510
V -10.448 8.440 -10.476
V -4.266 -0.010 -3.566
V -2.772 4.809 -3.513
V -11.926 3.631 -10.523
P -12.735 6.491 -11.786
P -12.040 7.730 -4.825
P -10.487 2.623 -4.796
P -9.795 5.667 -1.824
P -9.817 5.619 -8.768
P -9.093 2.693 -11.793
P -7.890 1.873 -9.197
P -7.590 7.737 -11.798
P -7.127 0.741 -2.230
P -6.843 6.546 -4.823
P -5.577 5.782 -2.233
P -4.911 2.831 -5.200
P -4.932 2.785 -12.172
P -4.249 5.797 -9.184
P -2.641 0.739 -9.201
P -2.032 1.931 -2.208
O -13.557 6.488 -7.990
O -12.670 6.308 -4.740
O -12.299 8.423 -1.011
O -11.833 7.751 -11.711
O -11.903 5.208 -11.459
O -11.258 5.645 -2.387
O -11.288 3.944 -4.590
O -10.986 2.065 -1.009
O -10.644 2.768 -11.765
O -10.592 6.865 -9.339
O -10.513 7.672 -4.659
O -10.497 4.318 -9.325
O -9.752 5.677 -0.337
O -9.803 5.644 -7.277
O -9.025 4.413 -2.409
O -9.121 7.681 -11.501
O -9.090 6.955 -2.432
O -8.999 2.890 -4.681
O -8.695 1.698 -10.592
O -8.883 1.786 -8.081
O -8.597 2.081 -13.074
O -8.499 4.075 -11.508
O -8.335 5.664 -9.348
O -7.794 2.129 -2.202
O -7.633 5.234 -4.666
O -7.757 7.758 -4.740
O -7.760 -0.003 -3.510
O -12.526 8.390 -6.081
O -6.977 8.443 -8.068
O -6.913 0.653 -9.177
O -7.033 3.158 -9.295
O -7.006 6.339 -11.720
O -6.351 2.815 -4.580
O -6.170 4.357 -2.421
O -6.088 6.530 -1.065
O -5.996 6.572 -6.082
O -5.816 6.634 -3.583
O -5.781 5.658 -9.171
O -5.690 1.528 -11.611
O -5.605 0.941 -2.444
O -5.668 4.018 -11.513
O -4.981 2.788 -13.668
O -4.936 2.838 -6.694
O -4.214 4.150 -4.698
O -4.183 0.866 -9.330
O -4.178 1.582 -4.597
O -4.022 5.607 -2.224
O -3.917 6.685 -10.492
O -13.464 6.384 -13.068
O -3.628 4.389 -9.375
O -3.442 2.768 -11.670
O -2.979 3.138 -2.450
O -2.887 0.653 -2.176
O -2.449 -0.001 -13.048
O -2.082 0.105 -10.575
O -2.067 2.193 -9.211
O -10.841 1.910 -6.065
O -1.077 1.752 -3.490
```

=====

Most stable: version B (next structure +0.5 kJ/mol of atoms)

=====

Version A
This record from the Materials Project describes a relaxed structure of LiV2P4H2O16. The functional is GGA+U.

Geometry as extended XYZ:
```
50
Lattice="-6.947 2.819 -1.897 -3.447 -5.507 4.475 3.741 4.157 7.983" Properties=species:S:1:pos:R:3 pbc="T T T"
Li -6.180 0.631 8.077
Li -3.800 -1.564 3.931
V 1.084 0.431 8.218
V -0.596 4.447 5.052
V -7.669 1.096 2.327
V -2.557 2.415 1.096
P -1.045 -0.133 10.779
P -3.846 2.349 8.932
P -0.990 1.161 5.620
P -2.917 -2.298 6.804
P -3.703 3.656 3.792
P -5.772 0.256 4.996
P -2.796 -0.874 1.607
P -5.572 1.626 -0.246
H -1.565 2.743 9.236
H -3.421 0.735 5.223
H -4.970 4.876 2.226
H -6.899 2.786 -1.740
O -0.248 -1.289 11.341
O 1.302 2.335 8.417
O -0.397 0.394 9.494
O -2.505 -0.641 10.398
O -2.347 2.272 8.655
O -1.630 4.642 6.707
O -4.406 0.926 9.219
O -4.625 2.887 7.711
O -0.193 0.695 6.851
O -0.460 2.617 5.265
O -3.154 -1.132 7.861
O -2.473 1.247 5.849
O -2.296 4.251 4.163
O -4.418 3.139 5.038
O -2.083 -3.380 7.420
O -0.616 0.192 4.448
O -6.058 1.202 6.181
O -4.457 4.868 3.197
O -2.280 -1.722 5.492
O -4.346 -2.746 6.396
O -4.271 0.176 4.671
O -3.513 2.505 2.787
O -6.275 -1.160 5.258
O -6.519 0.836 3.736
O -2.044 -1.428 2.899
O -2.257 0.521 1.279
O -4.983 -3.136 3.810
O -4.266 -0.877 1.974
O -4.189 2.125 0.196
O -6.318 1.084 1.031
O -7.874 -0.814 2.132
O -6.414 2.778 -0.794
```

=====

Version B
This record from the Materials Project describes a relaxed structure of LiV2P4H2O16. The functional is GGA+U.

Geometry as extended XYZ:
```
50
Lattice="4.898 -7.892 0.024 4.893 7.888 0.011 3.047 -0.007 7.157" Properties=species:S:1:pos:R:3 pbc="T T T"
Li 3.773 -2.921 2.561
Li 7.511 1.007 1.054
V 3.942 0.081 3.617
V 5.491 -3.900 7.079
V 7.314 -3.969 0.043
V 8.896 -0.036 3.637
P 5.023 2.784 1.931
P 4.990 -5.131 1.915
P 6.276 -1.198 1.685
P 6.322 6.727 1.693
P 6.542 1.171 5.511
P 6.521 -6.688 5.503
P 7.854 -2.779 5.258
P 7.784 5.165 5.282
H 6.592 -3.885 3.691
H 6.292 3.896 3.537
H 7.785 0.048 7.083
H 0.181 -0.060 0.115
O 1.120 -0.407 0.376
O 2.545 -0.380 2.472
O 2.882 1.309 4.534
O 3.405 -1.308 4.848
O 3.877 -4.379 1.103
O 3.884 3.483 1.156
O 4.516 1.365 2.373
O 5.034 -1.352 2.625
O 5.303 -4.276 3.125
O 5.335 3.566 3.209
O 5.384 0.465 4.729
O 6.032 2.581 5.939
O 6.030 -5.273 5.814
O 5.996 -0.332 0.477
O 6.239 -5.234 0.958
O 6.246 2.594 1.004
O 6.637 -2.627 6.193
O 6.582 5.247 6.253
O 6.824 0.368 6.787
O 6.767 -2.622 1.263
O 6.940 5.358 1.362
O 7.414 -0.486 2.479
O 7.548 -3.582 3.980
O 7.502 4.380 4.018
O 7.736 1.300 4.564
O 8.352 -1.384 4.899
O 8.979 -3.526 6.052
O 8.929 4.476 6.094
O 9.334 1.360 2.237
O 10.004 -1.318 2.639
O 10.332 0.474 4.667
O 11.734 0.439 6.777
```

=====

Most stable: version B (next structure +0.5 kJ/mol of atoms)

=====

Version A
This record from the Materials Project describes a relaxed structure of Cu3Mo2H2O10. The functional is GGA+U.

Geometry as extended XYZ:
```
17
Lattice="5.403 0.000 0.000 -0.725 5.640 0.000 -2.162 -2.060 7.000" Properties=species:S:1:pos:R:3 pbc="T T T"
Cu 0.757 0.089 1.350
Cu 1.759 3.491 5.650
Cu -0.363 2.820 0.000
Mo 2.515 3.431 2.157
Mo 0.001 0.149 4.844
H 3.753 0.705 0.926
H -1.237 2.875 6.074
O 4.568 0.892 0.406
O 1.669 2.216 1.172
O 4.267 3.479 1.658
O 1.786 5.075 1.882
O 0.093 0.583 3.112
O 2.422 2.997 3.888
O 0.730 -1.495 5.118
O -1.751 0.101 5.342
O 0.847 1.364 5.828
O -2.053 2.689 6.594
```

=====

Version B
This record from the Materials Project describes a relaxed structure of Cu3Mo2H2O10. The functional is GGA+U.

Geometry as extended XYZ:
```
17
Lattice="0.459 1.735 -5.587 3.069 -4.778 -0.812 -7.194 -2.698 1.609" Properties=species:S:1:pos:R:3 pbc="T T T"
Cu -0.617 -0.349 -1.233
Cu -3.049 -5.391 -3.557
Cu 1.535 -2.389 -0.406
Mo 0.288 -3.027 -3.870
Mo -3.955 -2.714 -0.919
H -2.169 -3.516 -4.800
H -1.497 -2.225 0.011
O -1.486 -3.673 -4.099
O -2.180 -2.068 -0.690
O 0.830 -2.254 -5.363
O -4.496 -3.487 0.573
O 1.358 -4.397 -3.451
O -5.024 -1.344 -1.339
O 0.299 -1.849 -2.548
O -3.965 -3.892 -2.242
O 0.655 0.492 -5.347
O -4.321 -6.233 0.557
```

=====

Most stable: version A (next structure +8.1 kJ/mol of atoms)